Entry from the Materials Project: a relaxed structure of V5P3 (PBE).

Cell: 6.944 6.944 4.800 Å, 90.00 90.00 120.00°
Element x y z (fractional)
V 0.746 0.746 0.750
P 0.613 0.613 0.250
V 0.746 0.000 0.250
V 0.333 0.667 0.500
V 0.000 0.746 0.250
V 0.333 0.667 0.000
P 0.613 0.000 0.750
P 0.000 0.613 0.750
P 0.387 0.387 0.750
V 0.667 0.333 0.500
V 0.667 0.333 0.000
V 0.000 0.254 0.750
V 0.254 0.254 0.250
P 0.387 0.000 0.250
P 0.000 0.387 0.250
V 0.254 0.000 0.750

formation energy from the elements	-0.79	eV/atom
calculated total energy	-8.49	eV per atom

---

Entry from the Materials Project: a relaxed structure of VP2 (PBE).

Cell: 4.504 4.504 7.173 Å, 62.77 62.77 40.35°
Element x y z (fractional)
P 0.600 0.600 0.599
P 0.142 0.142 0.970
P 0.858 0.858 0.030
V 0.844 0.844 0.698
V 0.156 0.156 0.302
P 0.400 0.400 0.401

formation energy from the elements	-0.61	eV/atom
calculated total energy	-7.25	eV per atom

---

Entry from the Materials Project: a relaxed structure of ZrVP (PBE).

Cell: 3.520 6.637 7.924 Å, 90.00 90.00 90.00°
Element x y z (fractional)
Zr 0.250 0.039 0.831
P 0.750 0.738 0.864
V 0.250 0.629 0.058
P 0.750 0.238 0.636
P 0.250 0.262 0.136
V 0.250 0.129 0.442
Zr 0.750 0.961 0.169
V 0.750 0.871 0.558
Zr 0.750 0.461 0.331
P 0.250 0.762 0.364
Zr 0.250 0.539 0.669
V 0.750 0.371 0.942

formation energy from the elements	-1.10	eV/atom
calculated total energy	-8.79	eV per atom

---

Entry from the Materials Project: a relaxed structure of PW (PBE).

Cell: 3.266 5.758 6.269 Å, 90.00 90.00 90.00°
Element x y z (fractional)
P 0.750 0.816 0.566
P 0.750 0.316 0.934
W 0.250 0.514 0.688
P 0.250 0.684 0.066
P 0.250 0.184 0.434
W 0.750 0.486 0.312
W 0.250 0.014 0.812
W 0.750 0.986 0.188

formation energy from the elements	-0.37	eV/atom
calculated total energy	-9.55	eV per atom

---

Entry from the Materials Project: a relaxed structure of PW3 (PBE).

Cell: 7.399 7.399 7.399 Å, 96.20 96.20 141.64°
Element x y z (fractional)
W 0.854 0.500 0.354
W 0.972 0.972 0.399
W 0.028 0.426 0.000
W 0.362 0.362 0.188
W 0.146 0.500 0.646
P 0.708 0.000 0.708
W 0.826 0.638 0.000
P 0.292 0.000 0.292
W 0.174 0.174 0.812
W 0.638 0.826 0.000
W 0.574 0.574 0.601
W 0.426 0.028 0.000
W 0.500 0.854 0.354
P 0.000 0.708 0.708
P 0.000 0.292 0.292
W 0.500 0.146 0.646

formation energy from the elements	-0.13	eV/atom
calculated total energy	-11.20	eV per atom
total moment	0.00	μB/f.u.

---

Entry from the Materials Project: a relaxed structure of PW3 (PBE).

Cell: 7.414 7.414 7.414 Å, 96.16 96.16 141.75°
Element x y z (fractional)
P 0.509 0.791 0.301
W 0.463 0.064 0.989
W 0.356 0.997 0.351
W 0.646 0.005 0.649
W 0.677 0.864 0.005
W 0.328 0.323 0.188
P 0.209 0.510 0.717
W 0.003 0.354 0.359
P 0.490 0.208 0.699
P 0.792 0.491 0.283
W 0.526 0.537 0.601
W 0.995 0.644 0.641
W 0.075 0.474 0.011
W 0.136 0.141 0.812
W 0.936 0.925 0.399
W 0.859 0.672 0.995

formation energy from the elements	-0.12	eV/atom
calculated total energy	-11.19	eV per atom
total moment	0.00	μB/f.u.

---

Entry from the Materials Project: a relaxed structure of Y3P (PBE).

Cell: 4.590 4.590 4.590 Å, 90.00 90.00 90.00°
Element x y z (fractional)
Y 0.500 0.500 0.000
Y 0.500 0.000 0.500
P 0.000 0.000 0.000
Y 0.000 0.500 0.500

formation energy from the elements	-0.32	eV/atom
calculated total energy	-6.52	eV per atom
total moment	0.02	μB/f.u.

---

Entry from the Materials Project: a relaxed structure of Y3P (PBE).

Cell: 6.024 6.024 6.024 Å, 136.87 136.87 62.64°
Element x y z (fractional)
Y 0.500 0.500 0.000
Y 0.750 0.250 0.500
P 0.000 0.000 0.000
Y 0.250 0.750 0.500

formation energy from the elements	-0.31	eV/atom
calculated total energy	-6.51	eV per atom
total moment	0.00	μB/f.u.